[1]
DFT (GGA-PBE) results for crystalline Li2PtO2 at its relaxed geometry.

Cell: 5.1625 5.1625 5.1625 Å, 144.84 135.90 57.61°
Closest atoms and distances in Å follow each position.
Fractional coordinates of all 5 atoms:
1 Li 0.6893 0.6893 0.0000  4 O 1.97-2.13
2 Li 0.3107 0.3107 0.0000  4 O 1.97-2.13
3 Pt 0.0000 0.0000 0.0000  4 O 2.07
4 O 0.8498 0.3498 0.5000  4 Li 1.97-2.13, 2 Pt 2.07
5 O 0.1502 0.6502 0.5000  4 Li 1.97-2.13, 2 Pt 2.07

Values from the calculation:
- Volume: 10.94 A^3/atom
- Total moment: 0.00 μB per formula unit
- ρ: 7.3 Mg/m³
- Energy of formation from the pure elements: -8.0 eV per formula unit


[2]
DFT (GGA-PBE) results for crystalline RbLiO at its relaxed geometry.

Cell: 3.5599 6.6052 9.1175 Å, 90.00 90.00 90.00°
Closest atoms and distances in Å follow each position.
Fractional coordinates of all 12 atoms:
1 Rb 0.2500 0.9958 0.8230  3 O 2.91-2.95, 2 Li 3.00-3.05
2 Rb 0.7500 0.0042 0.1770  3 O 2.91-2.95, 2 Li 3.00-3.05
3 Rb 0.2500 0.4958 0.6770  3 O 2.91-2.95, 2 Li 3.00-3.05
4 Rb 0.7500 0.5042 0.3230  3 O 2.91-2.95, 2 Li 3.00-3.05
5 Li 0.7500 0.8976 0.4973  3 O 1.91-1.98
6 Li 0.2500 0.6024 0.9973  3 O 1.91-1.98
7 Li 0.7500 0.3976 0.0027  3 O 1.91-1.98
8 Li 0.2500 0.1024 0.5027  3 O 1.91-1.98
9 O 0.2500 0.8108 0.4533  3 Li 1.91-1.98
10 O 0.7500 0.6892 0.9533  3 Li 1.91-1.98
11 O 0.2500 0.3108 0.0467  3 Li 1.91-1.98
12 O 0.7500 0.1892 0.5467  3 Li 1.91-1.98

Values from the calculation:
- Volume: 17.87 A^3/atom
- ρ: 3.4 Mg/m³
- Energy of formation from the pure elements: -4.8 eV per formula unit